# 1
Below is Se after structural relaxation, with properties calculated at the PBE-GGA level.

Lattice parameters (Å, degrees): 4.519 4.519 5.050 90.00 90.00 120.00
Positions (direct):
Se1 0.000 0.219 0.167
Se2 0.219 0.000 0.833
Se3 0.781 0.781 0.500

Properties
E ... -3.49 eV per atom
Largest piezoelectric modulus ... 0.61 C/m2


# 2
Below is Se after structural relaxation, with properties calculated at the PBE-GGA level.

Lattice parameters (Å, degrees): 9.450 10.273 15.435 90.00 126.92 90.00
Positions (direct):
Se1 0.011 0.094 0.143
Se2 0.011 0.406 0.643
Se3 0.061 0.654 0.142
Se4 0.061 0.846 0.642
Se5 0.075 0.005 0.757
Se6 0.075 0.495 0.257
Se7 0.214 0.139 0.531
Se8 0.214 0.361 0.031
Se9 0.310 0.038 0.230
Se10 0.310 0.462 0.730
Se11 0.406 0.692 0.986
Se12 0.406 0.808 0.486
Se13 0.409 0.201 0.046
Se14 0.409 0.299 0.546
Se15 0.481 0.223 0.331
Se16 0.481 0.277 0.831
Se17 0.519 0.723 0.169
Se18 0.519 0.777 0.669
Se19 0.591 0.701 0.454
Se20 0.591 0.799 0.954
Se21 0.594 0.192 0.514
Se22 0.594 0.308 0.014
Se23 0.690 0.538 0.270
Se24 0.690 0.962 0.770
Se25 0.786 0.639 0.969
Se26 0.786 0.861 0.469
Se27 0.925 0.505 0.743
Se28 0.925 0.995 0.243
Se29 0.939 0.154 0.358
Se30 0.939 0.346 0.858
Se31 0.989 0.594 0.357
Se32 0.989 0.906 0.857

Properties
E ... -3.49 eV per atom


# 3
Below is Se after structural relaxation, with properties calculated at the PBE-GGA level.

Lattice parameters (Å, degrees): 15.739 15.309 10.154 90.00 94.04 90.00
Positions (direct):
Se1 0.013 0.094 0.265
Se2 0.013 0.406 0.765
Se3 0.015 0.714 0.379
Se4 0.015 0.786 0.879
Se5 0.086 0.175 0.672
Se6 0.086 0.325 0.172
Se7 0.093 0.510 0.652
Se8 0.093 0.990 0.152
Se9 0.185 0.642 0.048
Se10 0.185 0.858 0.548
Se11 0.193 0.191 0.521
Se12 0.193 0.309 0.021
Se13 0.230 0.547 0.223
Se14 0.230 0.953 0.723
Se15 0.231 0.715 0.611
Se16 0.231 0.785 0.111
Se17 0.238 0.008 0.225
Se18 0.238 0.492 0.725
Se19 0.304 0.089 0.063
Se20 0.304 0.411 0.563
Se21 0.309 0.236 0.135
Se22 0.309 0.264 0.635
Se23 0.354 0.025 0.658
Se24 0.354 0.475 0.158
Se25 0.356 0.685 0.500
Se26 0.356 0.815 0.000
Se27 0.474 0.146 0.397
Se28 0.474 0.354 0.897
Se29 0.474 0.714 0.650
Se30 0.474 0.786 0.150
Se31 0.476 0.546 0.258
Se32 0.476 0.954 0.758
Se33 0.524 0.046 0.242
Se34 0.524 0.454 0.742
Se35 0.526 0.214 0.850
Se36 0.526 0.286 0.350
Se37 0.526 0.646 0.103
Se38 0.526 0.854 0.603
Se39 0.644 0.185 0.000
Se40 0.644 0.315 0.500
Se41 0.646 0.525 0.842
Se42 0.646 0.975 0.342
Se43 0.691 0.736 0.365
Se44 0.691 0.764 0.865
Se45 0.696 0.589 0.437
Se46 0.696 0.911 0.937
Se47 0.762 0.508 0.275
Se48 0.762 0.992 0.775
Se49 0.769 0.215 0.889
Se50 0.769 0.285 0.389
Se51 0.770 0.047 0.277
Se52 0.770 0.453 0.777
Se53 0.807 0.691 0.979
Se54 0.807 0.809 0.479
Se55 0.815 0.142 0.452
Se56 0.815 0.358 0.952
Se57 0.907 0.010 0.848
Se58 0.907 0.490 0.348
Se59 0.914 0.675 0.828
Se60 0.914 0.825 0.328
Se61 0.985 0.214 0.121
Se62 0.985 0.286 0.621
Se63 0.987 0.594 0.235
Se64 0.987 0.906 0.735

Properties
E ... -3.50 eV per atom


# 4
Below is Se after structural relaxation, with properties calculated at the PBE-GGA level.

Lattice parameters (Å, degrees): 4.616 4.616 4.642 90.00 90.00 144.39
Positions (direct):
Se1 0.059 0.941 0.750
Se2 0.941 0.059 0.250

Properties
E ... -3.32 eV per atom


# 5
Below is Se after structural relaxation, with properties calculated at the PBE-GGA level.

Lattice parameters (Å, degrees): 6.754 6.754 6.754 113.38 113.38 113.38
Positions (direct):
Se1 0.105 0.731 0.862
Se2 0.138 0.895 0.269
Se3 0.269 0.138 0.895
Se4 0.731 0.862 0.105
Se5 0.862 0.105 0.731
Se6 0.895 0.269 0.138

Properties
E ... -3.47 eV per atom


# 6
Below is Se after structural relaxation, with properties calculated at the PBE-GGA level.

Lattice parameters (Å, degrees): 4.485 4.485 4.485 60.00 60.00 60.00
Positions (direct):
Se1 0.125 0.125 0.125
Se2 0.875 0.875 0.875

Properties
Total magnetization ... 0.000 μB per formula unit
E ... -2.98 eV per atom


# 7
Below is Se after structural relaxation, with properties calculated at the PBE-GGA level.

Lattice parameters (Å, degrees): 2.830 2.830 2.830 90.00 90.00 90.00
Positions (direct):
Se1 0.000 0.000 0.000

Properties
E ... -3.31 eV per atom


# 8
Below is SiSe2 after structural relaxation, with properties calculated at the PBE-GGA level.

Lattice parameters (Å, degrees): 7.201 7.201 7.201 128.51 81.70 121.45
Positions (direct):
Si1 0.000 0.000 0.000
Si2 0.500 0.500 0.000
Se1 0.137 0.233 0.370
Se2 0.363 0.733 0.096
Se3 0.637 0.267 0.904
Se4 0.863 0.767 0.630

Properties
Total magnetization ... 0.003 μB per formula unit
E ... -3.89 eV per atom


Taking the records one at a time from the top gives ΔE_f values of 0.007 0.006 0.000 0.180 0.029 0.514 0.181 -0.066 eV per atom.